Record 1
# LaTe2

LaTe2 after structural relaxation (PBE-GGA, Materials Project).

## Properties
Symmetry   Pc (7)
ΔE_f   -1.683 eV per atom
DFT total energy   -5.142 eV/atom

The structure in POSCAR format:
```
LaTe2
1.0
-8.428 1.261 3.328
-3.005 -7.103 -4.920
1.928 -5.697 7.047
La Te
8 16
Cartesian
-1.062 -5.125 -0.520 La
-1.474 -5.592 4.728 La
-6.642 -8.009 -1.328 La
-2.976 -9.149 2.275 La
-5.254 -4.442 1.180 La
-7.193 -8.519 3.928 La
-5.690 -4.972 6.396 La
-7.873 -0.328 5.219 La
-2.170 -3.545 2.192 Te
-3.672 -7.098 -0.266 Te
-3.018 -6.775 7.526 Te
-6.384 -2.918 3.857 Te
-0.361 -11.085 3.314 Te
-4.286 -4.771 9.497 Te
-4.526 -6.519 3.688 Te
-7.887 -6.467 1.395 Te
1.124 -7.538 5.777 Te
-3.744 -3.209 -1.565 Te
-7.965 -2.595 0.086 Te
-3.074 -12.497 2.919 Te
-0.317 -7.164 2.015 Te
-5.997 -10.075 1.216 Te
-4.534 -10.320 5.077 Te
1.216 -3.617 4.462 Te
```

Record 2
# LaTe3

LaTe3 after structural relaxation (PBE-GGA, Materials Project).

## Properties
Symmetry   Cmcm (63)
ΔE_f   -1.058 eV per atom
DFT total energy   -4.333 eV/atom

The structure in POSCAR format:
```
LaTe3
1.0
2.138 -17.613 0.000
2.138 17.613 0.000
0.000 0.000 4.287
Te La
6 2
Cartesian
2.138 -1.854 1.072 Te
2.138 5.888 3.215 Te
2.138 -5.888 1.072 Te
2.138 -11.232 1.072 Te
2.138 11.232 3.215 Te
2.138 1.854 3.215 Te
2.138 14.441 3.215 La
2.138 -14.441 1.072 La
```

Record 3
# LaTl9Te6

LaTl9Te6 after structural relaxation (PBE-GGA, Materials Project).

## Properties
Symmetry   I4/m (87)
ΔE_f   -0.670 eV per atom
DFT total energy   -3.328 eV/atom

The structure in POSCAR format:
```
LaTl9Te6
1.0
2.670 -5.971 6.682
-7.550 1.622 5.272
-0.666 -2.562 -8.968
Te Tl La
6 9 1
Cartesian
-5.640 -1.041 5.083 Te
0.094 -5.869 -2.097 Te
-1.163 -1.037 2.850 Te
-2.397 -1.608 -1.564 Te
-3.717 -3.312 9.105 Te
-3.149 -5.302 4.550 Te
1.745 -6.060 0.962 Tl
-3.977 0.249 0.921 Tl
-1.284 -3.847 0.531 Tl
-7.292 -0.850 2.024 Tl
-1.569 -7.160 2.065 Tl
0.235 -4.347 3.825 Tl
-2.440 -2.174 5.977 Tl
-5.782 -2.563 -0.838 Tl
-4.262 -3.063 2.456 Tl
0.000 0.000 0.000 La
```

Record 4
# LaUTe6

LaUTe6 after structural relaxation (PBE-GGA, Materials Project).

## Properties
Symmetry   Amm2 (38)
ΔE_f   -1.127 eV per atom
DFT total energy   -5.196 eV/atom

The structure in POSCAR format:
```
LaUTe6
1.0
5.693 3.461 -11.300
-9.080 -1.395 9.364
1.291 3.820 1.820
Te La U
6 1 1
Cartesian
-2.726 0.694 0.477 Te
-4.136 1.929 4.261 Te
1.260 2.004 -5.099 Te
0.073 3.312 -1.627 Te
5.309 5.033 -8.950 Te
-7.960 -1.026 7.798 Te
3.200 2.642 -7.813 La
-5.987 1.320 6.851 U
```